{
  "formula": "SrB12H12",
  "functional": "r2SCAN",
  "state": "optimized geometry",
  "cell": [[7.038, 0.000, 0.000], [-3.519, 6.095, 0.000], [0.000, 0.000, 11.436]],
  "species": ["Sr", "Sr", "B", "B", "B", "B", "B", "B", "B", "B", "B", "B", "B", "B", "B", "B", "B", "B", "B", "B", "B", "B", "B", "B", "B", "B", "H", "H", "H", "H", "H", "H", "H", "H", "H", "H", "H", "H", "H", "H", "H", "H", "H", "H", "H", "H", "H", "H", "H", "H"],
  "fractional_positions": [[0.333, 0.667, 0.000], [0.667, 0.333, 0.500], [0.072, 0.472, 0.344], [0.137, 0.733, 0.400], [0.172, 0.545, 0.489], [0.213, 0.708, 0.255], [0.267, 0.404, 0.400], [0.292, 0.504, 0.255], [0.373, 0.828, 0.489], [0.400, 0.928, 0.344], [0.404, 0.267, 0.900], [0.455, 0.627, 0.489], [0.472, 0.072, 0.844], [0.496, 0.787, 0.255], [0.504, 0.292, 0.755], [0.528, 0.600, 0.344], [0.545, 0.172, 0.989], [0.596, 0.863, 0.400], [0.600, 0.528, 0.844], [0.627, 0.455, 0.989], [0.708, 0.213, 0.755], [0.733, 0.137, 0.900], [0.787, 0.496, 0.755], [0.828, 0.373, 0.989], [0.863, 0.596, 0.900], [0.928, 0.400, 0.844], [0.001, 0.780, 0.922], [0.061, 0.458, 0.573], [0.112, 0.446, 0.820], [0.126, 0.739, 0.173], [0.220, 0.221, 0.922], [0.221, 0.220, 0.422], [0.261, 0.387, 0.173], [0.334, 0.888, 0.820], [0.387, 0.261, 0.673], [0.397, 0.939, 0.573], [0.446, 0.112, 0.320], [0.458, 0.061, 0.073], [0.542, 0.603, 0.573], [0.554, 0.666, 0.820], [0.603, 0.542, 0.073], [0.613, 0.874, 0.173], [0.666, 0.554, 0.320], [0.739, 0.126, 0.673], [0.779, 0.999, 0.922], [0.780, 0.001, 0.422], [0.874, 0.613, 0.673], [0.888, 0.334, 0.320], [0.939, 0.397, 0.073], [0.999, 0.779, 0.422]],
  "formation_enthalpy_0k_ev_per_atom": -0.38
}